# 1
This record from the Materials Project database describes a relaxed structure of Pr3CrS6. The functional is r²SCAN.

Lattice parameters (Å, degrees): 3.924 13.775 16.328 90.00 90.00 90.00
Fractional coordinates of all 40 atoms:
S  0.500  0.400  0.255
S  0.000  0.100  0.755
Pr  0.500  0.947  0.782
S  0.500  0.600  0.745
S  0.500  0.922  0.072
Pr  0.000  0.447  0.718
S  0.500  0.675  0.980
Pr  0.500  0.740  0.596
S  0.000  0.123  0.101
S  0.000  0.900  0.245
S  0.000  0.810  0.710
Pr  0.000  0.760  0.096
Pr  0.000  0.553  0.282
S  0.500  0.325  0.020
S  0.000  0.877  0.899
S  0.000  0.175  0.520
Pr  0.000  0.240  0.904
S  0.000  0.825  0.480
S  0.500  0.377  0.601
S  0.000  0.422  0.428
S  0.500  0.976  0.595
Cr  0.000  0.000  0.500
Pr  0.500  0.260  0.404
Pr  0.000  0.321  0.148
S  0.000  0.524  0.095
Cr  0.000  0.000  0.000
Pr  0.000  0.679  0.852
Pr  0.500  0.179  0.648
S  0.500  0.623  0.399
S  0.500  0.024  0.405
S  0.000  0.476  0.905
Pr  0.500  0.053  0.218
Cr  0.500  0.500  0.000
Pr  0.500  0.821  0.352
S  0.500  0.690  0.210
S  0.000  0.578  0.572
S  0.500  0.078  0.928
Cr  0.500  0.500  0.500
S  0.000  0.190  0.290
S  0.500  0.310  0.790

Calculated values
crystal system = orthorhombic
volume = 22.067 Å³/atom
E_tot = -686.97 eV per cell

# 2
This record from the Materials Project database describes a relaxed structure of PrCrSb3. The functional is r²SCAN.

Lattice parameters (Å, degrees): 6.271 6.204 13.254 90.00 90.00 90.00
Fractional coordinates of all 20 atoms:
Cr  0.000  0.250  0.092
Cr  0.500  0.750  0.908
Sb  0.750  0.001  0.780
Sb  0.000  0.250  0.498
Cr  0.500  0.250  0.092
Sb  0.250  0.999  0.220
Sb  0.250  0.107  0.936
Pr  0.750  0.995  0.311
Pr  0.250  0.005  0.689
Sb  0.500  0.250  0.498
Sb  0.250  0.499  0.780
Sb  0.500  0.750  0.502
Pr  0.250  0.505  0.311
Sb  0.750  0.393  0.936
Sb  0.000  0.750  0.502
Sb  0.250  0.607  0.064
Sb  0.750  0.893  0.064
Cr  0.000  0.750  0.908
Sb  0.750  0.501  0.220
Pr  0.750  0.495  0.689

Calculated values
crystal system = orthorhombic
volume = 25.784 Å³/atom
E_tot = -498.18 eV per cell

# 3
This record from the Materials Project database describes a relaxed structure of CrPt. The functional is r²SCAN.

Lattice parameters (Å, degrees): 2.944 2.944 3.439 90.00 90.00 90.00
Fractional coordinates of all 2 atoms:
Cr  0.000  0.000  0.000
Pt  0.500  0.500  0.500

Calculated values
crystal system = tetragonal
volume = 14.906 Å³/atom
E_tot = -67.11 eV per cell

# 4
This record from the Materials Project database describes a relaxed structure of CrPt3. The functional is r²SCAN.

Lattice parameters (Å, degrees): 3.896 3.896 3.896 90.00 90.00 90.00
Fractional coordinates of all 4 atoms:
Pt  0.000  0.500  0.500
Pt  0.500  0.000  0.500
Pt  0.500  0.500  0.000
Cr  0.000  0.000  0.000

Calculated values
crystal system = cubic
volume = 14.784 Å³/atom
E_tot = -170.91 eV per cell

# 5
This record from the Materials Project database describes a relaxed structure of RbCrSe2. The functional is r²SCAN.

Lattice parameters (Å, degrees): 3.855 3.855 8.057 76.17 76.17 60.00
Fractional coordinates of all 4 atoms:
Cr  0.002  0.002  0.993
Se  0.393  0.393  0.823
Se  0.611  0.611  0.166
Rb  0.834  0.834  0.498

Calculated values
crystal system = trigonal
volume = 24.913 Å³/atom
E_tot = -61.94 eV per cell

# 6
This record from the Materials Project database describes a relaxed structure of RbCr5Se8. The functional is r²SCAN.

Lattice parameters (Å, degrees): 3.684 9.148 9.662 104.68 100.99 90.00
Fractional coordinates of all 14 atoms:
Se  0.171  0.489  0.342
Se  0.238  0.157  0.477
Se  0.914  0.172  0.828
Se  0.424  0.848  0.849
Se  0.762  0.843  0.523
Cr  0.659  0.978  0.317
Rb  0.500  0.500  0.000
Cr  0.000  0.000  0.000
Cr  0.704  0.335  0.409
Se  0.829  0.511  0.658
Se  0.576  0.152  0.151
Cr  0.341  0.022  0.683
Cr  0.296  0.665  0.591
Se  0.086  0.828  0.172

Calculated values
crystal system = monoclinic
volume = 22.059 Å³/atom
E_tot = -217.11 eV per cell

# 7
This record from the Materials Project database describes a relaxed structure of V2CrRe. The functional is r²SCAN.

Lattice parameters (Å, degrees): 4.199 4.199 4.199 60.00 60.00 60.00
Fractional coordinates of all 4 atoms:
V  0.500  0.500  0.500
Cr  0.250  0.250  0.250
V  0.000  0.000  0.000
Re  0.750  0.750  0.750

Calculated values
crystal system = cubic
volume = 13.090 Å³/atom
E_tot = -96.60 eV per cell

# 8
This record from the Materials Project database describes a relaxed structure of V2CrRu. The functional is r²SCAN.

Lattice parameters (Å, degrees): 4.168 4.168 4.168 60.00 60.00 60.00
Fractional coordinates of all 4 atoms:
V  0.000  0.000  0.000
Cr  0.250  0.250  0.250
V  0.500  0.500  0.500
Ru  0.750  0.750  0.750

Calculated values
crystal system = cubic
volume = 12.798 Å³/atom
E_tot = -69.57 eV per cell

# 9
This record from the Materials Project database describes a relaxed structure of CrS2. The functional is r²SCAN.

Lattice parameters (Å, degrees): 3.303 3.303 21.515 94.68 90.28 60.04
Fractional coordinates of all 6 atoms:
S  0.687  0.122  0.436
S  0.313  0.378  0.064
S  0.687  0.622  0.936
Cr  0.000  0.000  0.000
Cr  0.000  0.500  0.500
S  0.313  0.878  0.564

Calculated values
volume = 33.754 Å³/atom
E_tot = -66.36 eV per cell

# 10
This record from the Materials Project database describes a relaxed structure of CrS2. The functional is r²SCAN.

Lattice parameters (Å, degrees): 3.358 3.358 5.443 90.00 90.00 120.00
Fractional coordinates of all 3 atoms:
S  0.667  0.333  0.754
Cr  0.000  0.000  0.000
S  0.333  0.667  0.246

Calculated values
crystal system = trigonal
volume = 17.716 Å³/atom
E_tot = -33.30 eV per cell

# 11
This record from the Materials Project database describes a relaxed structure of Tb3CrS6. The functional is r²SCAN.

Lattice parameters (Å, degrees): 3.779 13.336 15.971 90.00 90.00 90.00
Fractional coordinates of all 40 atoms:
S  0.500  0.082  0.925
S  0.000  0.180  0.520
S  0.500  0.603  0.747
S  0.500  0.680  0.980
Tb  0.500  0.950  0.779
S  0.500  0.311  0.790
S  0.500  0.380  0.608
Cr  0.500  0.500  0.000
Tb  0.000  0.550  0.279
Tb  0.500  0.819  0.352
S  0.000  0.582  0.575
Cr  0.000  0.000  0.500
S  0.500  0.620  0.392
S  0.500  0.978  0.597
S  0.500  0.320  0.020
Cr  0.000  0.000  0.000
Tb  0.500  0.181  0.648
S  0.000  0.103  0.753
S  0.000  0.478  0.903
S  0.500  0.022  0.403
Tb  0.000  0.757  0.098
Tb  0.000  0.450  0.721
S  0.000  0.189  0.290
Tb  0.000  0.681  0.852
Cr  0.500  0.500  0.500
S  0.000  0.897  0.247
Tb  0.000  0.243  0.902
S  0.000  0.811  0.710
S  0.500  0.918  0.075
S  0.000  0.418  0.425
Tb  0.500  0.050  0.221
Tb  0.000  0.319  0.148
S  0.000  0.120  0.108
S  0.500  0.689  0.210
S  0.000  0.820  0.480
S  0.000  0.880  0.892
Tb  0.500  0.257  0.402
S  0.500  0.397  0.253
Tb  0.500  0.743  0.598
S  0.000  0.522  0.097

Calculated values
crystal system = orthorhombic
volume = 20.120 Å³/atom
E_tot = -710.06 eV per cell

# 12
This record from the Materials Project database describes a relaxed structure of ThCrS3. The functional is r²SCAN.

Lattice parameters (Å, degrees): 6.264 7.457 8.932 90.00 90.00 90.00
Fractional coordinates of all 20 atoms:
S  0.676  0.831  0.557
S  0.676  0.831  0.943
Cr  0.500  0.500  0.500
Th  0.953  0.617  0.750
S  0.364  0.461  0.750
S  0.176  0.669  0.057
S  0.824  0.331  0.557
S  0.136  0.961  0.750
S  0.176  0.669  0.443
Cr  0.500  0.500  0.000
Cr  0.000  0.000  0.000
S  0.324  0.169  0.057
S  0.324  0.169  0.443
S  0.636  0.539  0.250
Th  0.047  0.383  0.250
Th  0.547  0.117  0.750
S  0.824  0.331  0.943
S  0.864  0.039  0.250
Cr  0.000  0.000  0.500
Th  0.453  0.883  0.250

Calculated values
crystal system = orthorhombic
volume = 20.859 Å³/atom
E_tot = -485.28 eV per cell

What did the sixth record say?
This record from the Materials Project database describes a relaxed structure of RbCr5Se8. The functional is r²SCAN.

Lattice parameters (Å, degrees): 3.684 9.148 9.662 104.68 100.99 90.00
Fractional coordinates of all 14 atoms:
Se  0.171  0.489  0.342
Se  0.238  0.157  0.477
Se  0.914  0.172  0.828
Se  0.424  0.848  0.849
Se  0.762  0.843  0.523
Cr  0.659  0.978  0.317
Rb  0.500  0.500  0.000
Cr  0.000  0.000  0.000
Cr  0.704  0.335  0.409
Se  0.829  0.511  0.658
Se  0.576  0.152  0.151
Cr  0.341  0.022  0.683
Cr  0.296  0.665  0.591
Se  0.086  0.828  0.172

Calculated values
crystal system = monoclinic
volume = 22.059 Å³/atom
E_tot = -217.11 eV per cell

Please write out number 2 again, unchanged.
This record from the Materials Project database describes a relaxed structure of PrCrSb3. The functional is r²SCAN.

Lattice parameters (Å, degrees): 6.271 6.204 13.254 90.00 90.00 90.00
Fractional coordinates of all 20 atoms:
Cr  0.000  0.250  0.092
Cr  0.500  0.750  0.908
Sb  0.750  0.001  0.780
Sb  0.000  0.250  0.498
Cr  0.500  0.250  0.092
Sb  0.250  0.999  0.220
Sb  0.250  0.107  0.936
Pr  0.750  0.995  0.311
Pr  0.250  0.005  0.689
Sb  0.500  0.250  0.498
Sb  0.250  0.499  0.780
Sb  0.500  0.750  0.502
Pr  0.250  0.505  0.311
Sb  0.750  0.393  0.936
Sb  0.000  0.750  0.502
Sb  0.250  0.607  0.064
Sb  0.750  0.893  0.064
Cr  0.000  0.750  0.908
Sb  0.750  0.501  0.220
Pr  0.750  0.495  0.689

Calculated values
crystal system = orthorhombic
volume = 25.784 Å³/atom
E_tot = -498.18 eV per cell

Question: Among the records above, which one has the lowest volume?
Answer: V2CrRu

Please write out number 9 again, unchanged.
This record from the Materials Project database describes a relaxed structure of CrS2. The functional is r²SCAN.

Lattice parameters (Å, degrees): 3.303 3.303 21.515 94.68 90.28 60.04
Fractional coordinates of all 6 atoms:
S  0.687  0.122  0.436
S  0.313  0.378  0.064
S  0.687  0.622  0.936
Cr  0.000  0.000  0.000
Cr  0.000  0.500  0.500
S  0.313  0.878  0.564

Calculated values
volume = 33.754 Å³/atom
E_tot = -66.36 eV per cell